Computed, not measured: a relaxed structure of SrCa2Sc6O12 at the GGA-PBE level of DFT.

a = 9.7090 Å, b = 9.7090 Å, c = 3.1922 Å
α = 90.00°, β = 90.00°, γ = 120.00°
Closest atoms and distances in Å follow each position.
Space group P-3 (No. 147)
Unique sites:
Sr 0.0000 0.0000 0.0000 [1 per cell]  6 O 2.66
Ca 0.3333 0.6667 0.2490 [2 per cell]  6 O 2.38
Sc 0.0018 0.6516 0.2552 [6 per cell]  6 O 2.10-2.22
O 0.1073 0.2983 0.2464 [6 per cell]  3 Sc 2.10-2.13
O 0.1277 0.6022 0.7499 [6 per cell]  3 Sc 2.13-2.22, 2 Ca 2.38

Calculated values
ΔH_f (0 K) = -3.74 eV/atom
Magnetization = 0.000 μB/atom